Entry 1:
# V2NiSe4

V2NiSe4 after structural relaxation (PBE, the Materials Project database).

Cell and atoms, written as POSCAR:
```
V2NiSe4
1.0
0.8509 -0.3402 6.6338
3.5441 -1.9508 5.3368
3.7430 4.2755 2.4628
Se V Ni
4 2 1
Direct
0.6394 0.6394 0.0221
0.3606 0.3606 0.9779
0.8952 0.8952 0.4465
0.1048 0.1048 0.5535
0.7453 0.7453 0.3126
0.2547 0.2547 0.6874
0.0000 0.0000 0.0000
```

Values from the calculation:
ΔE_f ... -6.02 eV per formula unit
Space group ... No. 12
ΔE to the lowest computed polymorph ... 0.0000 eV/atom

***

Entry 2:
# Mg6NiC

Mg6NiC after structural relaxation (PBE, the Materials Project database).

Cell and atoms, written as POSCAR:
```
Mg6NiC
1.0
3.6688 0.0000 0.0000
0.0000 7.5016 0.0000
0.0000 0.0000 10.4706
Mg Ni C
12 2 2
Direct
0.0000 0.3217 0.1089
0.5000 0.8177 0.8408
0.0000 0.6783 0.1089
0.0000 0.1783 0.6089
0.5000 0.6823 0.3408
0.5000 0.0000 0.1262
0.0000 0.0000 0.3481
0.5000 0.1823 0.8408
0.5000 0.3177 0.3408
0.0000 0.5000 0.8481
0.5000 0.5000 0.6262
0.0000 0.8217 0.6089
0.0000 0.5000 0.4667
0.0000 0.0000 0.9667
0.5000 0.0000 0.6596
0.5000 0.5000 0.1596
```

Values from the calculation:
ΔE_f ... 2.14 eV per formula unit
ΔE to the lowest computed polymorph ... 0.0000 eV/atom

***

Entry 3:
# Fe9Cu9S16

Fe9Cu9S16 after structural relaxation (PBE, the Materials Project database).

Cell and atoms, written as POSCAR:
```
Fe9Cu9S16
1.0
-9.8039 2.5002 3.0371
-3.6530 -8.8123 -4.5377
0.7210 -2.5989 4.4667
Cu Fe S
9 9 16
Direct
0.2480 0.7520 0.4880
0.2480 0.2480 0.5120
0.7478 0.0000 0.0000
0.2522 0.0000 0.0000
0.0000 0.7478 0.0000
0.7520 0.7520 0.5120
0.5000 0.5000 0.5000
0.7520 0.2480 0.4880
0.0000 0.2522 0.0000
0.0000 0.0000 0.0000
0.7520 0.5000 0.0000
0.5000 0.2480 0.0000
0.0000 0.0000 0.5000
0.5000 0.7520 0.0000
0.5000 0.5000 0.0000
0.5000 0.0000 0.5000
0.0000 0.5000 0.5000
0.2480 0.5000 0.0000
0.3745 0.3745 0.2385
0.8750 0.6245 0.7486
0.1250 0.6245 0.2514
0.8750 0.3755 0.2514
0.8829 0.8829 0.2588
0.1171 0.1171 0.2588
0.3755 0.1250 0.7486
0.1250 0.3755 0.7486
0.8829 0.1171 0.7412
0.3755 0.8750 0.2514
0.6245 0.1250 0.2514
0.1171 0.8829 0.7412
0.6255 0.3745 0.7615
0.6245 0.8750 0.7486
0.6255 0.6255 0.2385
0.3745 0.6255 0.7615
```

Values from the calculation:
ΔE_f ... -17.25 eV per formula unit
Space group ... No. 111

***

Entry 4:
# Cu3SbS3

Cu3SbS3 after structural relaxation (PBE, the Materials Project database).

Cell and atoms, written as POSCAR:
```
Cu3SbS3
1.0
-5.0437 5.0437 5.0437
5.0437 -5.0437 5.0437
5.0437 5.0437 -5.0437
Sb Cu S
4 12 12
Direct
0.0000 0.0000 0.4500
0.5500 0.5500 0.5500
0.4500 0.0000 0.0000
0.0000 0.4500 0.0000
0.0000 0.8159 0.8159
0.8159 0.0000 0.8159
0.1841 0.0000 0.1841
0.7500 0.2500 0.5000
0.8159 0.8159 0.0000
0.5000 0.2500 0.7500
0.2500 0.7500 0.5000
0.1841 0.1841 0.0000
0.2500 0.5000 0.7500
0.5000 0.7500 0.2500
0.7500 0.5000 0.2500
0.0000 0.1841 0.1841
0.5291 0.7548 0.0000
0.7743 0.2452 0.2452
0.5291 0.0000 0.7548
0.2452 0.2452 0.7743
0.4709 0.2257 0.4709
0.7548 0.0000 0.5291
0.4709 0.4709 0.2257
0.2452 0.7743 0.2452
0.7548 0.5291 0.0000
0.0000 0.7548 0.5291
0.2257 0.4709 0.4709
0.0000 0.5291 0.7548
```

Values from the calculation:
ΔE_f ... -2.71 eV per formula unit
Space group ... No. 217
ΔE to the lowest computed polymorph ... 0.0210 eV/atom

***

Entry 5:
# Cs2MgH4

Cs2MgH4 after structural relaxation (PBE, the Materials Project database).

Cell and atoms, written as POSCAR:
```
Cs2MgH4
1.0
4.3239 0.0000 0.0000
0.0000 4.3239 0.0000
-2.1620 -2.1620 7.4857
Mg Cs H
1 2 4
Direct
0.0000 0.0000 0.0000
0.6448 0.6448 0.2896
0.3552 0.3552 0.7104
0.5000 0.0000 0.0000
0.1308 0.1308 0.2616
0.8692 0.8692 0.7384
0.0000 0.5000 0.0000
```

Values from the calculation:
ΔE_f ... -2.15 eV per formula unit
Space group ... No. 139
ΔE to the lowest computed polymorph ... 0.0054 eV/atom

***

Entry 6:
# Rb2TiAgF6

Rb2TiAgF6 after structural relaxation (PBE, the Materials Project database).

Cell and atoms, written as POSCAR:
```
Rb2TiAgF6
1.0
5.6811 1.3953 2.3235
0.9114 5.4416 3.0298
0.9369 0.0180 6.2244
F Ag Rb Ti
6 1 2 1
Direct
0.2240 0.7760 0.2240
0.7760 0.7760 0.2240
0.2240 0.2240 0.7760
0.7760 0.2240 0.7760
0.2240 0.7760 0.7760
0.7760 0.2240 0.2240
0.5000 0.5000 0.5000
0.7500 0.7500 0.7500
0.2500 0.2500 0.2500
0.0000 0.0000 0.0000
```

Values from the calculation:
ΔE_f ... -29.30 eV per formula unit
Space group ... No. 225

***

Entry 7:
# NaBPt3

NaBPt3 after structural relaxation (PBE, the Materials Project database).

Cell and atoms, written as POSCAR:
```
NaBPt3
1.0
2.8073 -4.8624 0.0000
2.8073 4.8624 0.0000
0.0000 0.0000 5.5738
Pt Na B
6 2 2
Direct
0.5000 0.5000 0.7572
0.5000 0.5000 0.2428
0.5000 0.0000 0.2428
0.5000 0.0000 0.7572
0.0000 0.5000 0.7572
0.0000 0.5000 0.2428
0.0000 0.0000 0.0000
0.0000 0.0000 0.5000
0.3333 0.6667 0.5000
0.6667 0.3333 0.5000
```

Values from the calculation:
ΔE_f ... -2.19 eV per formula unit
Space group ... No. 191

***

Entry 8:
# Mg14BW

Mg14BW after structural relaxation (PBE, the Materials Project database).

Cell and atoms, written as POSCAR:
```
Mg14BW
1.0
6.1562 0.0501 0.0000
-3.0347 5.2562 0.0000
0.0000 0.0000 9.9874
Mg W B
14 1 1
Direct
0.3250 0.6649 0.3523
0.1697 0.3348 0.6250
0.3250 0.1602 0.8977
0.6628 0.3320 0.6250
0.6728 0.3343 0.1250
0.8435 0.1718 0.8808
0.3250 0.6649 0.8977
0.8442 0.6721 0.8853
0.8435 0.1718 0.3692
0.8442 0.6721 0.3647
0.6728 0.8385 0.1250
0.3250 0.1602 0.3523
0.1680 0.8340 0.6250
0.6628 0.8308 0.6250
0.1586 0.3293 0.1250
0.1570 0.8285 0.1250
```

Values from the calculation:
ΔE_f ... 5.13 eV per formula unit
Space group ... No. 38
ΔE to the lowest computed polymorph ... 0.0211 eV/atom

***

Entry 9:
# Nb5Si3

Nb5Si3 after structural relaxation (PBE, the Materials Project database).

Cell and atoms, written as POSCAR:
```
Nb5Si3
1.0
3.7917 -6.5674 0.0000
3.7917 6.5674 0.0000
0.0000 0.0000 5.3064
Nb Si
10 6
Direct
0.2508 0.2508 0.7500
0.6667 0.3333 0.0000
0.3333 0.6667 0.0000
0.7492 0.7492 0.2500
0.7492 0.0000 0.7500
0.6667 0.3333 0.5000
0.0000 0.7492 0.7500
0.0000 0.2508 0.2500
0.3333 0.6667 0.5000
0.2508 0.0000 0.2500
0.0000 0.6074 0.2500
0.6074 0.0000 0.2500
0.6074 0.6074 0.7500
0.3926 0.3926 0.2500
0.0000 0.3926 0.7500
0.3926 0.0000 0.7500
```

Values from the calculation:
ΔE_f ... -4.42 eV per formula unit
Space group ... No. 193
ΔE to the lowest computed polymorph ... 0.0999 eV/atom

***

Entry 10:
# LiMnN

LiMnN after structural relaxation (PBE, the Materials Project database).

Cell and atoms, written as POSCAR:
```
LiMnN
1.0
-0.1962 -0.6405 -6.7548
1.2205 -2.8912 0.2387
-4.5753 -1.9056 0.3136
Mn N Li
4 4 4
Direct
0.8741 0.7500 0.9154
0.1259 0.2500 0.0846
0.6259 0.2500 0.4154
0.3741 0.7500 0.5846
0.3436 0.2500 0.3541
0.1564 0.7500 0.8541
0.6564 0.7500 0.6459
0.8436 0.2500 0.1459
0.6037 0.2500 0.8958
0.1037 0.2500 0.6042
0.3963 0.7500 0.1042
0.8963 0.7500 0.3958
```

Values from the calculation:
ΔE_f ... -1.07 eV per formula unit
Space group ... No. 62

***

Entry 11:
# Mn3Co

Mn3Co after structural relaxation (PBE, the Materials Project database).

Cell and atoms, written as POSCAR:
```
Mn3Co
1.0
2.4871 -4.3078 0.0000
2.4871 4.3078 0.0000
0.0000 0.0000 3.9533
Mn Co
6 2
Direct
0.8376 0.6752 0.7500
0.6752 0.8376 0.2500
0.3248 0.1624 0.7500
0.1624 0.8376 0.2500
0.8376 0.1624 0.7500
0.1624 0.3248 0.2500
0.3333 0.6667 0.7500
0.6667 0.3333 0.2500
```

Values from the calculation:
ΔE_f ... -0.06 eV per formula unit
Space group ... No. 194

***

Entry 12:
# TiCrAgS4

TiCrAgS4 after structural relaxation (PBE, the Materials Project database).

Cell and atoms, written as POSCAR:
```
TiCrAgS4
1.0
-3.6407 3.6802 5.0922
3.6407 -3.6802 5.0922
3.6407 3.6802 -5.0922
S Ag Cr Ti
8 2 2 2
Direct
0.0357 0.5047 0.5172
0.0088 0.9795 0.4634
0.0160 0.5453 0.0366
0.0126 0.9953 0.0310
0.4912 0.9547 0.9707
0.4874 0.5184 0.9828
0.4643 0.9816 0.4690
0.4840 0.5205 0.5293
0.6210 0.3710 0.2500
0.8790 0.1290 0.7500
0.2500 0.7548 0.5048
0.7500 0.7452 0.9952
0.2213 0.7500 0.9713
0.2787 0.2500 0.5287
```

Values from the calculation:
ΔE_f ... -7.75 eV per formula unit
Space group ... No. 24
ΔE to the lowest computed polymorph ... 0.0000 eV/atom